(1)
VASP calculation (GGA-PBE) on Rb3YP2O8 after structural relaxation.

Geometry as CIF:
```
data_Rb3YP2O8
_chemical_formula_sum 'Rb3 Y1 P2 O8'
_cell_length_a 5.800
_cell_length_b 5.800
_cell_length_c 7.932
_cell_angle_alpha 90.00
_cell_angle_beta 90.00
_cell_angle_gamma 120.00
_space_group_name_H-M_alt 'P 1'
_space_group_IT_number 1
_space_group_name_Hall 'P 1'
loop_
_atom_site_label
_atom_site_fract_x
_atom_site_fract_y
_atom_site_fract_z
Rb1 0.000 0.000 0.000
Rb2 0.333 0.667 0.724
Rb3 0.667 0.333 0.276
Y1 0.000 0.000 0.500
P1 0.333 0.667 0.267
P2 0.667 0.333 0.733
O1 0.187 0.374 0.338
O2 0.187 0.813 0.338
O3 0.333 0.667 0.075
O4 0.374 0.187 0.662
O5 0.626 0.813 0.338
O6 0.667 0.333 0.925
O7 0.813 0.187 0.662
O8 0.813 0.626 0.662
```

Calculated values
Crystal system: trigonal


(2)
VASP calculation (GGA-PBE) on CuAgS after structural relaxation.

Geometry as CIF:
```
data_CuAgS
_chemical_formula_sum 'Cu4 Ag4 S4'
_cell_length_a 8.290
_cell_length_b 4.019
_cell_length_c 6.620
_cell_angle_alpha 90.00
_cell_angle_beta 90.00
_cell_angle_gamma 90.00
_space_group_name_H-M_alt 'P 1'
_space_group_IT_number 1
_space_group_name_Hall 'P 1'
loop_
_atom_site_label
_atom_site_fract_x
_atom_site_fract_y
_atom_site_fract_z
Cu1 0.239 0.250 0.203
Cu2 0.261 0.750 0.703
Cu3 0.739 0.250 0.297
Cu4 0.761 0.750 0.797
Ag1 0.014 0.250 0.823
Ag2 0.486 0.750 0.323
Ag3 0.514 0.250 0.677
Ag4 0.986 0.750 0.177
S1 0.229 0.250 0.555
S2 0.271 0.750 0.055
S3 0.729 0.250 0.945
S4 0.771 0.750 0.445
```

Calculated values
Magnetic moment (Bohr magnetons per cell): 0.001
Crystal system: orthorhombic


(3)
VASP calculation (GGA-PBE) on Sm3InS6 after structural relaxation.

Geometry as CIF:
```
data_Sm3InS6
_chemical_formula_sum 'Sm12 In4 S24'
_cell_length_a 13.735
_cell_length_b 16.717
_cell_length_c 3.935
_cell_angle_alpha 90.00
_cell_angle_beta 90.00
_cell_angle_gamma 90.00
_space_group_name_H-M_alt 'P 1'
_space_group_IT_number 1
_space_group_name_Hall 'P 1'
loop_
_atom_site_label
_atom_site_fract_x
_atom_site_fract_y
_atom_site_fract_z
Sm1 0.041 0.223 0.000
Sm2 0.188 0.646 0.000
Sm3 0.248 0.894 0.500
Sm4 0.252 0.394 0.000
Sm5 0.312 0.146 0.500
Sm6 0.459 0.723 0.500
Sm7 0.541 0.277 0.500
Sm8 0.688 0.854 0.500
Sm9 0.748 0.606 0.000
Sm10 0.752 0.106 0.500
Sm11 0.812 0.354 0.000
Sm12 0.959 0.777 0.000
In1 0.000 0.000 0.500
In2 0.000 0.500 0.500
In3 0.500 0.000 0.000
In4 0.500 0.500 0.000
S1 0.021 0.396 0.000
S2 0.095 0.915 0.000
S3 0.111 0.747 0.500
S4 0.112 0.116 0.500
S5 0.182 0.286 0.500
S6 0.190 0.520 0.500
S7 0.310 0.020 0.000
S8 0.318 0.786 0.000
S9 0.388 0.616 0.000
S10 0.389 0.247 0.000
S11 0.405 0.415 0.500
S12 0.479 0.896 0.500
S13 0.521 0.104 0.500
S14 0.595 0.585 0.500
S15 0.611 0.753 0.000
S16 0.612 0.384 0.000
S17 0.682 0.214 0.000
S18 0.690 0.980 0.000
S19 0.810 0.480 0.500
S20 0.818 0.714 0.500
S21 0.888 0.884 0.500
S22 0.889 0.253 0.500
S23 0.905 0.085 0.000
S24 0.979 0.604 0.000
```

Calculated values
Crystal system: orthorhombic


(4)
VASP calculation (GGA-PBE) on Sm3ReO7 after structural relaxation.

Geometry as CIF:
```
data_Sm3ReO7
_chemical_formula_sum 'Sm6 Re2 O14'
_cell_length_a 6.571
_cell_length_b 6.571
_cell_length_c 7.572
_cell_angle_alpha 90.00
_cell_angle_beta 90.00
_cell_angle_gamma 69.19
_space_group_name_H-M_alt 'P 1'
_space_group_IT_number 1
_space_group_name_Hall 'P 1'
loop_
_atom_site_label
_atom_site_fract_x
_atom_site_fract_y
_atom_site_fract_z
Sm1 0.000 0.000 0.000
Sm2 0.000 0.000 0.500
Sm3 0.073 0.478 0.750
Sm4 0.478 0.073 0.250
Sm5 0.522 0.927 0.750
Sm6 0.927 0.522 0.250
Re1 0.500 0.500 0.000
Re2 0.500 0.500 0.500
O1 0.109 0.155 0.250
O2 0.155 0.109 0.750
O3 0.185 0.561 0.037
O4 0.185 0.561 0.463
O5 0.419 0.581 0.750
O6 0.439 0.815 0.037
O7 0.439 0.815 0.463
O8 0.561 0.185 0.537
O9 0.561 0.185 0.963
O10 0.581 0.419 0.250
O11 0.815 0.439 0.537
O12 0.815 0.439 0.963
O13 0.845 0.891 0.250
O14 0.891 0.845 0.750
```

Calculated values
Magnetic moment (Bohr magnetons per cell): 4.001
Crystal system: orthorhombic


(5)
VASP calculation (GGA-PBE) on Na2Ca2Zr2SiS5O24 after structural relaxation.

Geometry as CIF:
```
data_Na2Ca2Zr2SiS5O24
_chemical_formula_sum 'Na6 Ca6 Zr6 Si3 S15 O72'
_cell_length_a 9.083
_cell_length_b 9.091
_cell_length_c 23.930
_cell_angle_alpha 90.09
_cell_angle_beta 90.10
_cell_angle_gamma 119.89
_space_group_name_H-M_alt 'P 1'
_space_group_IT_number 1
_space_group_name_Hall 'P 1'
loop_
_atom_site_label
_atom_site_fract_x
_atom_site_fract_y
_atom_site_fract_z
Na1 0.000 0.000 0.000
Na2 0.002 0.022 0.498
Na3 0.350 0.687 0.323
Na4 0.358 0.671 0.839
Na5 0.671 0.334 0.163
Na6 0.680 0.341 0.665
Ca1 0.006 0.005 0.143
Ca2 0.006 0.012 0.640
Ca3 0.342 0.676 0.178
Ca4 0.346 0.674 0.978
Ca5 0.670 0.329 0.312
Ca6 0.672 0.342 0.811
Zr1 0.327 0.661 0.681
Zr2 0.339 0.668 0.476
Zr3 0.676 0.352 0.011
Zr4 0.686 0.329 0.513
Zr5 0.996 0.996 0.852
Zr6 0.997 0.008 0.346
Si1 0.048 0.380 0.577
Si2 0.666 0.632 0.909
Si3 0.673 0.039 0.411
S1 0.009 0.301 0.246
S2 0.011 0.716 0.744
S3 0.038 0.668 0.077
S4 0.296 0.005 0.247
S5 0.298 0.300 0.744
S6 0.343 0.373 0.077
S7 0.344 0.961 0.578
S8 0.377 0.047 0.911
S9 0.379 0.337 0.413
S10 0.623 0.665 0.578
S11 0.639 0.978 0.077
S12 0.711 0.001 0.745
S13 0.713 0.712 0.246
S14 0.965 0.336 0.911
S15 0.968 0.635 0.413
O1 0.010 0.814 0.082
O2 0.021 0.204 0.297
O3 0.026 0.196 0.578
O4 0.034 0.822 0.795
O5 0.111 0.641 0.128
O6 0.134 0.482 0.919
O7 0.138 0.687 0.027
O8 0.141 0.657 0.423
O9 0.145 0.502 0.633
O10 0.166 0.490 0.524
O11 0.167 0.466 0.246
O12 0.175 0.707 0.739
O13 0.190 0.993 0.298
O14 0.192 0.975 0.582
O15 0.194 0.222 0.795
O16 0.196 0.200 0.082
O17 0.206 0.040 0.905
O18 0.206 0.182 0.407
O19 0.213 0.018 0.196
O20 0.217 0.202 0.694
O21 0.308 0.848 0.247
O22 0.315 0.476 0.738
O23 0.321 0.454 0.028
O24 0.330 0.859 0.528
O25 0.345 0.875 0.919
O26 0.352 0.486 0.422
O27 0.371 0.883 0.629
O28 0.373 0.474 0.129
O29 0.461 0.155 0.962
O30 0.463 0.315 0.464
O31 0.464 0.158 0.251
O32 0.470 0.324 0.748
O33 0.477 0.120 0.861
O34 0.479 0.372 0.363
O35 0.498 0.134 0.572
O36 0.501 0.354 0.070
O37 0.512 0.850 0.426
O38 0.514 0.669 0.915
O39 0.520 0.648 0.629
O40 0.539 0.688 0.528
O41 0.539 0.841 0.739
O42 0.540 0.905 0.128
O43 0.546 0.703 0.247
O44 0.557 0.874 0.028
O45 0.632 0.507 0.572
O46 0.635 0.113 0.357
O47 0.655 0.530 0.854
O48 0.656 0.152 0.069
O49 0.687 0.147 0.751
O50 0.698 0.545 0.253
O51 0.699 0.539 0.966
O52 0.704 0.164 0.468
O53 0.793 0.814 0.582
O54 0.797 0.979 0.796
O55 0.809 0.823 0.298
O56 0.810 0.020 0.695
O57 0.811 0.793 0.196
O58 0.812 0.000 0.082
O59 0.847 0.022 0.405
O60 0.852 0.825 0.904
O61 0.855 0.306 0.962
O62 0.858 0.320 0.251
O63 0.859 0.552 0.463
O64 0.861 0.375 0.571
O65 0.863 0.507 0.070
O66 0.869 0.543 0.749
O67 0.887 0.353 0.860
O68 0.898 0.535 0.363
O69 0.981 0.177 0.905
O70 0.989 0.808 0.408
O71 0.991 0.201 0.196
O72 0.992 0.795 0.694
```

Calculated values
Magnetic moment (Bohr magnetons per cell): 0.001
Crystal system: triclinic


(6)
VASP calculation (GGA-PBE) on Sc2Ni12P7 after structural relaxation.

Geometry as CIF:
```
data_Sc2Ni12P7
_chemical_formula_sum 'Sc2 Ni12 P7'
_cell_length_a 8.979
_cell_length_b 8.979
_cell_length_c 3.595
_cell_angle_alpha 90.00
_cell_angle_beta 90.00
_cell_angle_gamma 120.00
_space_group_name_H-M_alt 'P 1'
_space_group_IT_number 1
_space_group_name_Hall 'P 1'
loop_
_atom_site_label
_atom_site_fract_x
_atom_site_fract_y
_atom_site_fract_z
Sc1 0.000 0.000 0.000
Sc2 0.333 0.667 0.500
Ni1 0.050 0.767 0.500
Ni2 0.102 0.396 0.000
Ni3 0.233 0.283 0.500
Ni4 0.294 0.898 0.000
Ni5 0.390 0.212 0.000
Ni6 0.541 0.113 0.500
Ni7 0.573 0.459 0.500
Ni8 0.604 0.706 0.000
Ni9 0.717 0.950 0.500
Ni10 0.788 0.178 0.000
Ni11 0.822 0.610 0.000
Ni12 0.887 0.427 0.500
P1 0.079 0.627 0.000
P2 0.255 0.040 0.500
P3 0.373 0.452 0.000
P4 0.548 0.921 0.000
P5 0.667 0.333 0.000
P6 0.785 0.745 0.500
P7 0.960 0.215 0.500
```

Calculated values
Crystal system: hexagonal


(7)
VASP calculation (GGA-PBE) on Tb3Sb4Pd8 after structural relaxation.

Geometry as CIF:
```
data_Tb3Sb4Pd8
_chemical_formula_sum 'Tb6 Sb8 Pd16'
_cell_length_a 9.405
_cell_length_b 9.405
_cell_length_c 9.405
_cell_angle_alpha 60.00
_cell_angle_beta 60.00
_cell_angle_gamma 60.00
_space_group_name_H-M_alt 'P 1'
_space_group_IT_number 1
_space_group_name_Hall 'P 1'
loop_
_atom_site_label
_atom_site_fract_x
_atom_site_fract_y
_atom_site_fract_z
Tb1 0.225 0.225 0.775
Tb2 0.225 0.775 0.225
Tb3 0.225 0.775 0.775
Tb4 0.775 0.225 0.225
Tb5 0.775 0.225 0.775
Tb6 0.775 0.775 0.225
Sb1 0.000 0.000 0.000
Sb2 0.000 0.000 0.500
Sb3 0.000 0.500 0.000
Sb4 0.000 0.500 0.500
Sb5 0.500 0.000 0.000
Sb6 0.500 0.000 0.500
Sb7 0.500 0.500 0.000
Sb8 0.500 0.500 0.500
Pd1 0.144 0.619 0.619
Pd2 0.168 0.168 0.168
Pd3 0.168 0.168 0.497
Pd4 0.168 0.497 0.168
Pd5 0.381 0.381 0.381
Pd6 0.381 0.381 0.856
Pd7 0.381 0.856 0.381
Pd8 0.497 0.168 0.168
Pd9 0.503 0.832 0.832
Pd10 0.619 0.144 0.619
Pd11 0.619 0.619 0.144
Pd12 0.619 0.619 0.619
Pd13 0.832 0.503 0.832
Pd14 0.832 0.832 0.503
Pd15 0.832 0.832 0.832
Pd16 0.856 0.381 0.381
```

Calculated values
Magnetic moment (Bohr magnetons per cell): 0.007
Crystal system: cubic


(8)
VASP calculation (GGA-PBE) on BaSrLaBiO6 after structural relaxation.

Geometry as CIF:
```
data_BaSrLaBiO6
_chemical_formula_sum 'Ba2 Sr2 La2 Bi2 O12'
_cell_length_a 6.148
_cell_length_b 6.148
_cell_length_c 8.909
_cell_angle_alpha 90.00
_cell_angle_beta 90.00
_cell_angle_gamma 90.00
_space_group_name_H-M_alt 'P 1'
_space_group_IT_number 1
_space_group_name_Hall 'P 1'
loop_
_atom_site_label
_atom_site_fract_x
_atom_site_fract_y
_atom_site_fract_z
Ba1 0.000 0.500 0.250
Ba2 0.500 0.000 0.750
Sr1 0.000 0.000 0.500
Sr2 0.500 0.500 0.000
La1 0.000 0.500 0.750
La2 0.500 0.000 0.250
Bi1 0.000 0.000 0.000
Bi2 0.500 0.500 0.500
O1 0.000 0.000 0.237
O2 0.000 0.000 0.763
O3 0.146 0.314 0.972
O4 0.186 0.354 0.528
O5 0.314 0.854 0.028
O6 0.354 0.814 0.472
O7 0.500 0.500 0.263
O8 0.500 0.500 0.737
O9 0.646 0.186 0.472
O10 0.686 0.146 0.028
O11 0.814 0.646 0.528
O12 0.854 0.686 0.972
```

Calculated values
Energy above the lowest structure with this stoichiometry (meV per atom): 112.0
Magnetic moment (Bohr magnetons per cell): 0.000
Crystal system: tetragonal


(9)
VASP calculation (GGA-PBE) on K2NaScCl6 after structural relaxation.

Geometry as CIF:
```
data_K2NaScCl6
_chemical_formula_sum 'K2 Na1 Sc1 Cl6'
_cell_length_a 7.387
_cell_length_b 7.387
_cell_length_c 7.387
_cell_angle_alpha 60.00
_cell_angle_beta 60.00
_cell_angle_gamma 60.00
_space_group_name_H-M_alt 'P 1'
_space_group_IT_number 1
_space_group_name_Hall 'P 1'
loop_
_atom_site_label
_atom_site_fract_x
_atom_site_fract_y
_atom_site_fract_z
K1 0.250 0.250 0.250
K2 0.750 0.750 0.750
Na1 0.000 0.000 0.000
Sc1 0.500 0.500 0.500
Cl1 0.262 0.262 0.738
Cl2 0.262 0.738 0.262
Cl3 0.262 0.738 0.738
Cl4 0.738 0.262 0.262
Cl5 0.738 0.262 0.738
Cl6 0.738 0.738 0.262
```

Calculated values
Magnetic moment (Bohr magnetons per cell): 0.000
Crystal system: cubic


(10)
VASP calculation (GGA-PBE) on CaMg14Sn after structural relaxation.

Geometry as CIF:
```
data_CaMg14Sn
_chemical_formula_sum 'Ca1 Mg14 Sn1'
_cell_length_a 6.458
_cell_length_b 6.458
_cell_length_c 10.616
_cell_angle_alpha 90.00
_cell_angle_beta 90.00
_cell_angle_gamma 120.00
_space_group_name_H-M_alt 'P 1'
_space_group_IT_number 1
_space_group_name_Hall 'P 1'
loop_
_atom_site_label
_atom_site_fract_x
_atom_site_fract_y
_atom_site_fract_z
Ca1 0.000 0.000 0.000
Mg1 0.005 0.502 0.000
Mg2 0.168 0.337 0.253
Mg3 0.168 0.337 0.747
Mg4 0.168 0.832 0.253
Mg5 0.168 0.832 0.747
Mg6 0.498 0.502 0.000
Mg7 0.498 0.995 0.000
Mg8 0.502 0.003 0.500
Mg9 0.502 0.498 0.500
Mg10 0.663 0.832 0.253
Mg11 0.663 0.832 0.747
Mg12 0.667 0.333 0.245
Mg13 0.667 0.333 0.755
Mg14 0.997 0.498 0.500
Sn1 0.000 0.000 0.500
```

Calculated values
Energy above the lowest structure with this stoichiometry (meV per atom): 25.6
Magnetic moment (Bohr magnetons per cell): 0.000
Crystal system: hexagonal


| no. | energy of formation from the pure elements (meV per atom) | density (Mg/m³) |
| --- | --- | --- |
| 1 | -2951.9 | 3.8 |
| 2 | -273.1 | 6.1 |
| 3 | -1992.1 | 5.6 |
| 4 | -3280.8 | 8.1 |
| 5 | -2593.5 | 2.6 |
| 6 | -755.1 | 6.7 |
| 7 | -837.1 | 10.2 |
| 8 | -2675.4 | 6.6 |
| 9 | -2371.8 | 2.1 |
| 10 | -17.6 | 2.2 |